VASP calculation (r²SCAN) on a geometry-optimized La2TlZn structure.

Values from the calculation:
Energy: -123.29 eV per formula unit
Crystal system: cubic
ρ: 7.7 Mg/m³

```
data_La2TlZn
_chemical_formula_sum 'La8 Tl4 Zn4'
_space_group_name_H-M_alt 'F m -3 m'
_space_group_IT_number 225
_space_group_name_Hall '-F 4 2 3'
_cell_length_a 7.775
_cell_length_b 7.775
_cell_length_c 7.775
_cell_angle_alpha 90.00
_cell_angle_beta 90.00
_cell_angle_gamma 90.00
loop_
_atom_site_label
_atom_site_type_symbol
_atom_site_fract_x
_atom_site_fract_y
_atom_site_fract_z
_atom_site_occupancy
La1 La 0.250 0.250 0.250 1
Tl1 Tl 0.000 0.000 0.000 1
Zn1 Zn 0.000 0.000 0.500 1
```

***

VASP calculation (r²SCAN) on a geometry-optimized La3Tm structure.

Values from the calculation:
Energy: -124.23 eV per formula unit
Crystal system: tetragonal
ρ: 6.9 Mg/m³

```
data_La3Tm
_chemical_formula_sum 'La6 Tm2'
_space_group_name_H-M_alt 'I 4/m m m'
_space_group_IT_number 139
_space_group_name_Hall '-I 4 2'
_cell_length_a 5.194
_cell_length_b 5.194
_cell_length_c 10.480
_cell_angle_alpha 90.00
_cell_angle_beta 90.00
_cell_angle_gamma 90.00
loop_
_atom_site_label
_atom_site_type_symbol
_atom_site_fract_x
_atom_site_fract_y
_atom_site_fract_z
_atom_site_occupancy
La1 La 0.000 0.000 0.000 1
La2 La 0.000 0.500 0.250 1
Tm1 Tm 0.000 0.000 0.500 1
```

***

VASP calculation (r²SCAN) on a geometry-optimized LaY structure.

Values from the calculation:
Energy above the most stable polymorph in this dataset: 0.0 kJ/mol of formula units
Crystal system: trigonal
ρ: 5.3 Mg/m³

```
data_LaY
_chemical_formula_sum 'La9 Y9'
_space_group_name_H-M_alt 'R 3 m'
_space_group_IT_number 160
_space_group_name_Hall 'R 3 -2"'
_cell_length_a 3.7156
_cell_length_b 3.7156
_cell_length_c 53.8235
_cell_angle_alpha 90.00
_cell_angle_beta 90.00
_cell_angle_gamma 120.00
loop_
_atom_site_label
_atom_site_type_symbol
_atom_site_fract_x
_atom_site_fract_y
_atom_site_fract_z
_atom_site_occupancy
La1 La 0.0000 0.0000 0.0000 1
La2 La 0.0000 0.0000 0.1109 1
La3 La 0.0000 0.0000 0.6088 1
Y1 Y 0.0000 0.0000 0.2199 1
Y2 Y 0.0000 0.0000 0.5001 1
Y3 Y 0.0000 0.0000 0.7225 1
```

***

VASP calculation (r²SCAN) on a geometry-optimized LaY structure.

Values from the calculation:
Energy above the most stable polymorph in this dataset: 12.7 kJ/mol of formula units
Crystal system: hexagonal
ρ: 5.3 Mg/m³

```
data_LaY
_chemical_formula_sum 'La2 Y2'
_space_group_name_H-M_alt 'P 63/m m c'
_space_group_IT_number 194
_space_group_name_Hall '-P 6c 2c'
_cell_length_a 3.7096
_cell_length_b 3.7096
_cell_length_c 11.9103
_cell_angle_alpha 90.00
_cell_angle_beta 90.00
_cell_angle_gamma 120.00
loop_
_atom_site_label
_atom_site_type_symbol
_atom_site_fract_x
_atom_site_fract_y
_atom_site_fract_z
_atom_site_occupancy
La1 La 0.3333 0.6667 0.2500 1
Y1 Y 0.0000 0.0000 0.0000 1
```

***

VASP calculation (r²SCAN) on a geometry-optimized LaZn structure.

Values from the calculation:
Energy: -39.31 eV per formula unit
Crystal system: cubic
ρ: 6.4 Mg/m³

```
data_LaZn
_chemical_formula_sum 'La1 Zn1'
_space_group_name_H-M_alt 'P m -3 m'
_space_group_IT_number 221
_space_group_name_Hall '-P 4 2 3'
_cell_length_a 3.756
_cell_length_b 3.756
_cell_length_c 3.756
_cell_angle_alpha 90.00
_cell_angle_beta 90.00
_cell_angle_gamma 90.00
loop_
_atom_site_label
_atom_site_type_symbol
_atom_site_fract_x
_atom_site_fract_y
_atom_site_fract_z
_atom_site_occupancy
La1 La 0.000 0.000 0.000 1
Zn1 Zn 0.500 0.500 0.500 1
```

***

VASP calculation (r²SCAN) on a geometry-optimized LaZn4 structure.

Values from the calculation:
Energy: -67.23 eV per formula unit
Crystal system: orthorhombic
ρ: 6.9 Mg/m³

```
data_LaZn4
_chemical_formula_sum 'La4 Zn16'
_space_group_name_H-M_alt 'C m c m'
_space_group_IT_number 63
_space_group_name_Hall '-C 2c 2'
_cell_length_a 6.279
_cell_length_b 10.194
_cell_length_c 6.051
_cell_angle_alpha 90.00
_cell_angle_beta 90.00
_cell_angle_gamma 90.00
loop_
_atom_site_label
_atom_site_type_symbol
_atom_site_fract_x
_atom_site_fract_y
_atom_site_fract_z
_atom_site_occupancy
La1 La 0.000 0.234 0.250 1
Zn1 Zn 0.000 0.110 0.750 1
Zn2 Zn 0.000 0.353 0.750 1
Zn3 Zn 0.219 0.500 0.000 1
```

***

VASP calculation (r²SCAN) on a geometry-optimized La2Zn17 structure.

Values from the calculation:
Energy: -216.51 eV per formula unit
Crystal system: trigonal
ρ: 7.4 Mg/m³

```
data_La2Zn17
_chemical_formula_sum 'La6 Zn51'
_space_group_name_H-M_alt 'R -3 m'
_space_group_IT_number 166
_space_group_name_Hall '-R 3 2"'
_cell_length_a 9.0296
_cell_length_b 9.0296
_cell_length_c 13.1611
_cell_angle_alpha 90.00
_cell_angle_beta 90.00
_cell_angle_gamma 120.00
loop_
_atom_site_label
_atom_site_type_symbol
_atom_site_fract_x
_atom_site_fract_y
_atom_site_fract_z
_atom_site_occupancy
La1 La 0.0000 0.0000 0.1626 1
Zn1 Zn 0.0000 0.0000 0.4017 1
Zn2 Zn 0.0000 0.2892 0.5000 1
Zn3 Zn 0.0000 0.5000 0.0000 1
Zn4 Zn 0.0042 0.5021 0.6550 1
```

***

VASP calculation (r²SCAN) on a geometry-optimized LaZn13 structure.

Values from the calculation:
Energy: -148.96 eV per formula unit
Crystal system: cubic
ρ: 7.5 Mg/m³

```
data_LaZn13
_chemical_formula_sum 'La8 Zn104'
_space_group_name_H-M_alt 'F m -3 c'
_space_group_IT_number 226
_space_group_name_Hall '-F 4a 2 3'
_cell_length_a 12.060
_cell_length_b 12.060
_cell_length_c 12.060
_cell_angle_alpha 90.00
_cell_angle_beta 90.00
_cell_angle_gamma 90.00
loop_
_atom_site_label
_atom_site_type_symbol
_atom_site_fract_x
_atom_site_fract_y
_atom_site_fract_z
_atom_site_occupancy
La1 La 0.250 0.250 0.250 1
Zn1 Zn 0.000 0.000 0.000 1
Zn2 Zn 0.000 0.121 0.179 1
```

***

VASP calculation (r²SCAN) on a geometry-optimized LaZn2 structure.

Values from the calculation:
Energy: -48.76 eV per formula unit
Crystal system: orthorhombic
ρ: 6.7 Mg/m³

```
data_LaZn2
_chemical_formula_sum 'La4 Zn8'
_space_group_name_H-M_alt 'I m m a'
_space_group_IT_number 74
_space_group_name_Hall '-I 2b 2'
_cell_length_a 4.670
_cell_length_b 7.597
_cell_length_c 7.482
_cell_angle_alpha 90.00
_cell_angle_beta 90.00
_cell_angle_gamma 90.00
loop_
_atom_site_label
_atom_site_type_symbol
_atom_site_fract_x
_atom_site_fract_y
_atom_site_fract_z
_atom_site_occupancy
La1 La 0.000 0.250 0.042 1
Zn1 Zn 0.000 0.063 0.664 1
```

***

VASP calculation (r²SCAN) on a geometry-optimized LaZn3 structure.

Values from the calculation:
Energy: -57.71 eV per formula unit
Crystal system: hexagonal
ρ: 6.6 Mg/m³

```
data_LaZn3
_chemical_formula_sum 'La2 Zn6'
_space_group_name_H-M_alt 'P 63/m m c'
_space_group_IT_number 194
_space_group_name_Hall '-P 6c 2c'
_cell_length_a 6.7417
_cell_length_b 6.7417
_cell_length_c 4.3013
_cell_angle_alpha 90.00
_cell_angle_beta 90.00
_cell_angle_gamma 120.00
loop_
_atom_site_label
_atom_site_type_symbol
_atom_site_fract_x
_atom_site_fract_y
_atom_site_fract_z
_atom_site_occupancy
La1 La 0.3333 0.6667 0.2500 1
Zn1 Zn 0.1341 0.2681 0.7500 1
```

***

VASP calculation (r²SCAN) on a geometry-optimized La3Zr structure.

Values from the calculation:
Energy: -111.32 eV per formula unit
Crystal system: cubic
ρ: 6.5 Mg/m³

```
data_La3Zr
_chemical_formula_sum 'La3 Zr1'
_space_group_name_H-M_alt 'P m -3 m'
_space_group_IT_number 221
_space_group_name_Hall '-P 4 2 3'
_cell_length_a 5.073
_cell_length_b 5.073
_cell_length_c 5.073
_cell_angle_alpha 90.00
_cell_angle_beta 90.00
_cell_angle_gamma 90.00
loop_
_atom_site_label
_atom_site_type_symbol
_atom_site_fract_x
_atom_site_fract_y
_atom_site_fract_z
_atom_site_occupancy
La1 La 0.000 0.000 0.500 1
Zr1 Zr 0.500 0.500 0.500 1
```

***

VASP calculation (r²SCAN) on a geometry-optimized Li structure.

Values from the calculation:
Energy above the most stable polymorph in this dataset: 0.6 kJ/mol of formula units
Crystal system: hexagonal
ρ: 0.6 Mg/m³

```
data_Li
_chemical_formula_sum 'Li2'
_space_group_name_H-M_alt 'P 63/m m c'
_space_group_IT_number 194
_space_group_name_Hall '-P 6c 2c'
_cell_length_a 3.0148
_cell_length_b 3.0148
_cell_length_c 5.1083
_cell_angle_alpha 90.00
_cell_angle_beta 90.00
_cell_angle_gamma 120.00
loop_
_atom_site_label
_atom_site_type_symbol
_atom_site_fract_x
_atom_site_fract_y
_atom_site_fract_z
_atom_site_occupancy
Li1 Li 0.3333 0.6667 0.2500 1
```